This record from Materials Project describes YPt3C after structural relaxation. The functional is PBE.

Cell: 4.3244 4.3244 4.3244 Å, 90.00 90.00 90.00°
Space group Pm-3m (No. 221)
Asymmetric unit:
Y1 0.0000 0.0000 0.0000
Pt1 0.0000 0.5000 0.5000
C1 0.5000 0.5000 0.5000

Formation energy   -0.26 eV/atom
Calculated density   14.09 g/cm³
Crystal system   cubic
Calculated total energy   -7.04 eV per atom

***

This record from Materials Project describes PuC2 after structural relaxation. The functional is PBE.

Cell: 3.6601 3.6601 6.1356 Å, 90.00 90.00 90.00°
Space group I4/mmm (No. 139)
Asymmetric unit:
Pu1 0.0000 0.0000 0.0000
C1 0.0000 0.0000 0.3920

Formation energy   0.01 eV/atom
Calculated density   10.83 g/cm³
Crystal system   tetragonal
Calculated total energy   -10.90 eV per atom

***

This record from Materials Project describes PuRh3C after structural relaxation. The functional is PBE.

Cell: 4.2159 4.2159 4.2159 Å, 90.00 90.00 90.00°
Space group Pm-3m (No. 221)
Asymmetric unit:
Pu1 0.0000 0.0000 0.0000
Rh1 0.0000 0.5000 0.5000
C1 0.5000 0.5000 0.5000

Formation energy   -0.21 eV/atom
Calculated density   12.51 g/cm³
Crystal system   cubic
Calculated total energy   -9.33 eV per atom

***

This record from Materials Project describes PuU4C5 after structural relaxation. The functional is PBE.

Cell: 3.5823 3.5823 42.5880 Å, 90.00 90.00 120.00°
Space group R-3m (No. 166, hexagonal axes)
Asymmetric unit:
Pu1 0.0000 0.0000 0.0000
U1 0.0000 0.0000 0.2004
U2 0.0000 0.0000 0.3985
C1 0.0000 0.0000 0.0992
C2 0.0000 0.0000 0.2994
C3 0.0000 0.0000 0.5000

Formation energy   0.05 eV/atom
Calculated density   13.22 g/cm³
Crystal system   trigonal
Calculated total energy   -10.50 eV per atom

***

This record from Materials Project describes PuUC2 after structural relaxation. The functional is PBE.

Cell: 3.5834 3.5834 16.9401 Å, 90.00 90.00 120.00°
Space group R-3m (No. 166, hexagonal axes)
Asymmetric unit:
Pu1 0.0000 0.0000 0.0000
U1 0.0000 0.0000 0.5000
C1 0.0000 0.0000 0.2386

Formation energy   -0.10 eV/atom
Calculated density   13.38 g/cm³
Crystal system   trigonal
Calculated total energy   -11.10 eV per atom

***

This record from Materials Project describes Pu2W2C3 after structural relaxation. The functional is PBE.

Cell: 11.6939 3.0592 5.5068 Å, 90.00 107.00 90.00°
Space group C2/m (No. 12)
Asymmetric unit:
Pu1 0.1075 0.0000 0.3238
W1 0.1497 0.5000 0.8597
C1 0.0000 0.5000 0.0000
C2 0.2482 0.0000 0.7427

Formation energy   0.01 eV/atom
Calculated density   15.72 g/cm³
Crystal system   monoclinic
Calculated total energy   -11.72 eV per atom

***

This record from Materials Project describes PuWC2 after structural relaxation. The functional is PBE.

Cell: 5.6983 3.2918 10.9360 Å, 90.00 90.00 90.00°
Space group Pnma (No. 62)
Asymmetric unit:
Pu1 0.0850 0.2500 0.1397
W1 0.0869 0.7500 0.3931
C1 0.1617 0.2500 0.7546
C2 0.2361 0.2500 0.4893

Formation energy   -0.19 eV/atom
Calculated density   14.63 g/cm³
Crystal system   orthorhombic
Calculated total energy   -11.61 eV per atom

***

This record from Materials Project describes Pu2W2C3 after structural relaxation. The functional is PBE.

Cell: 11.9835 3.2845 5.6979 Å, 90.00 113.38 90.00°
Space group C2/m (No. 12)
Asymmetric unit:
Pu1 0.1056 0.0000 0.3091
W1 0.1563 0.5000 0.8268
C1 0.0000 0.5000 0.5000
C2 0.2493 0.0000 0.7560

Formation energy   -0.14 eV/atom
Calculated density   14.39 g/cm³
Crystal system   monoclinic
Calculated total energy   -11.87 eV per atom

***

- Among the records above, which one has the highest calculated total energy?
  YPt3C